An optimized crystal structure of Zr7P4. Source: the Materials Project database, functional r2SCAN. Values from VASP.

crystal system	monoclinic
electronic total energy	-19.030	eV/atom

```
&SYSTEM
  ibrav = 0, nat = 22, ntyp = 2
/
ATOMIC_SPECIES
Zr 91.22 Zr.upf
P 30.97 P.upf
ATOMIC_POSITIONS crystal
Zr 0.660 0.320 0.970
Zr 0.004 0.008 0.667
Zr 0.823 0.646 0.458
Zr 0.177 0.354 0.542
Zr 0.432 0.863 0.834
Zr 0.000 0.000 0.000
Zr 0.568 0.137 0.166
Zr 0.205 0.409 0.796
Zr 0.996 0.992 0.333
Zr 0.195 0.390 0.310
Zr 0.795 0.591 0.204
Zr 0.805 0.610 0.690
Zr 0.340 0.680 0.030
Zr 0.500 0.000 0.500
P 0.374 0.748 0.600
P 0.063 0.126 0.853
P 0.626 0.252 0.400
P 0.631 0.261 0.659
P 0.937 0.874 0.147
P 0.178 0.356 0.111
P 0.369 0.739 0.341
P 0.822 0.644 0.889
CELL_PARAMETERS angstrom
3.626 0.000 0.000
-1.813 7.648 -2.039
0.001 0.001 14.831
```